Here is a relaxed structure of Ho5Ir3 from the Materials Project. Energies are from PBE.

Calculated values
Crystal system: hexagonal
E above lowest polymorph, meV/atom: 38
ΔH_f (0 K), eV/f.u.: -6.39

POSCAR file:
```
Ho5Ir3
1.0
0.0000 0.0000 -6.1884
-4.1408 -7.1721 0.0000
-4.1398 7.1715 0.0000
Ho Ir
10 6
direct
0.5000 0.3333 0.6667
0.5000 0.6666 0.3333
0.0000 0.6667 0.3333
0.0000 0.3334 0.6667
0.7500 0.2593 0.0000
0.7500 0.7408 0.7407
0.7500 0.0000 0.2593
0.2500 0.7407 0.0000
0.2500 0.2592 0.2593
0.2500 0.0000 0.7407
0.7500 0.6095 0.0000
0.7500 0.3904 0.3904
0.7500 0.0000 0.6096
0.2500 0.3905 0.0000
0.2500 0.6096 0.6096
0.2500 0.0000 0.3904
```